Entry A
Compound: MgAg14Pb6O18
Source: the Materials Project database
Functional: PBE
Structure: relaxed

Cell lengths 8.841, 8.991, 9.035 Å; angles 72.88, 73.87, 72.44 degrees
Positions (direct):
1 Mg 0.000 0.000 0.000
2 Ag 0.044 0.553 0.783
3 Ag 0.156 0.172 0.369
4 Ag 0.226 0.234 0.937
5 Ag 0.231 0.704 0.448
6 Ag 0.292 0.300 0.561
7 Ag 0.368 0.899 0.126
8 Ag 0.458 0.477 0.678
9 Ag 0.559 0.561 0.268
10 Ag 0.617 0.641 0.862
11 Ag 0.701 0.228 0.450
12 Ag 0.774 0.772 0.031
13 Ag 0.827 0.882 0.671
14 Ag 0.895 0.368 0.124
15 Ag 0.988 0.986 0.321
16 Pb 0.216 0.560 0.112
17 Pb 0.249 0.877 0.748
18 Pb 0.555 0.223 0.108
19 Pb 0.559 0.893 0.435
20 Pb 0.856 0.239 0.763
21 Pb 0.887 0.559 0.441
22 O 0.124 0.150 0.798
23 O 0.162 0.523 0.387
24 O 0.174 0.832 0.085
25 O 0.233 0.605 0.848
26 O 0.285 0.290 0.127
27 O 0.288 0.908 0.481
28 O 0.495 0.495 0.091
29 O 0.519 0.166 0.382
30 O 0.519 0.866 0.692
31 O 0.570 0.954 0.171
32 O 0.596 0.270 0.845
33 O 0.613 0.622 0.454
34 O 0.823 0.824 0.443
35 O 0.829 0.184 0.065
36 O 0.861 0.497 0.711
37 O 0.897 0.285 0.502
38 O 0.906 0.964 0.837
39 O 0.945 0.566 0.176

Calculated values
Volume (Å³/cell): 640.2

=====

Entry B
Compound: MgAg14Pb6O18
Source: the Materials Project database
Functional: PBE
Structure: relaxed

Cell lengths 8.776, 8.956, 9.044 Å; angles 74.07, 73.87, 73.77 degrees
Positions (direct):
1 Mg 0.000 0.000 0.000
2 Ag 0.090 0.958 0.285
3 Ag 0.160 0.542 0.318
4 Ag 0.231 0.071 0.736
5 Ag 0.269 0.148 0.381
6 Ag 0.337 0.707 0.982
7 Ag 0.422 0.297 0.570
8 Ag 0.477 0.380 0.162
9 Ag 0.533 0.857 0.641
10 Ag 0.569 0.459 0.736
11 Ag 0.666 0.044 0.318
12 Ag 0.737 0.649 0.874
13 Ag 0.779 0.289 0.951
14 Ag 0.926 0.707 0.092
15 Ag 0.995 0.386 0.642
16 Pb 0.156 0.372 0.979
17 Pb 0.162 0.714 0.646
18 Pb 0.503 0.707 0.320
19 Pb 0.505 0.037 0.983
20 Pb 0.825 0.380 0.321
21 Pb 0.841 0.045 0.645
22 O 0.099 0.358 0.252
23 O 0.117 0.987 0.597
24 O 0.143 0.667 0.911
25 O 0.174 0.105 0.988
26 O 0.183 0.443 0.709
27 O 0.230 0.721 0.380
28 O 0.425 0.326 0.968
29 O 0.441 0.686 0.586
30 O 0.483 0.971 0.265
31 O 0.520 0.753 0.059
32 O 0.553 0.437 0.342
33 O 0.574 0.059 0.695
34 O 0.767 0.644 0.312
35 O 0.808 0.316 0.587
36 O 0.810 0.048 0.906
37 O 0.853 0.113 0.371
38 O 0.878 0.426 0.050
39 O 0.894 0.782 0.671

Calculated values
Volume (Å³/cell): 640.5

=====

Quick look at relative energies in kJ/mol of atoms: entry A 0.0; entry B 2.3.

=====

Entry A
Compound: LiMg6BO7
Source: the Materials Project database
Functional: PBE
Structure: relaxed

Cell lengths 4.182, 4.182, 8.472 Å; angles 90.00, 90.00, 90.00 degrees
Positions (direct):
1 Li 0.000 0.000 0.000
2 Mg 0.000 0.000 0.502
3 Mg 0.000 0.500 0.228
4 Mg 0.000 0.500 0.768
5 Mg 0.500 0.000 0.228
6 Mg 0.500 0.000 0.768
7 Mg 0.500 0.500 0.494
8 B 0.500 0.500 0.981
9 O 0.000 0.000 0.259
10 O 0.000 0.000 0.745
11 O 0.000 0.500 0.000
12 O 0.000 0.500 0.508
13 O 0.500 0.000 0.000
14 O 0.500 0.000 0.508
15 O 0.500 0.500 0.810

Calculated values
Volume (Å³/cell): 148.2

=====

Entry B
Compound: LiMg6BO7
Source: the Materials Project database
Functional: PBE
Structure: relaxed

Cell lengths 4.120, 4.120, 9.112 Å; angles 90.00, 90.00, 90.00 degrees
Positions (direct):
1 Li 0.000 0.000 0.000
2 Mg 0.000 0.000 0.544
3 Mg 0.000 0.500 0.237
4 Mg 0.000 0.500 0.783
5 Mg 0.500 0.000 0.237
6 Mg 0.500 0.000 0.783
7 Mg 0.500 0.500 0.504
8 B 0.500 0.500 0.975
9 O 0.000 0.000 0.774
10 O 0.000 0.500 0.015
11 O 0.000 0.500 0.550
12 O 0.500 0.000 0.015
13 O 0.500 0.000 0.550
14 O 0.500 0.500 0.284
15 O 0.500 0.500 0.824

Calculated values
Volume (Å³/cell): 154.7

=====

Quick look at relative energies in kJ/mol of atoms: entry A 0.0; entry B 2.6.

=====

Entry A
Compound: Te2MoW3Se6
Source: the Materials Project database
Functional: PBE
Structure: relaxed

Cell lengths 3.379, 3.379, 38.531 Å; angles 90.00, 90.00, 120.00 degrees
Positions (direct):
1 Te 0.000 0.000 0.000
2 Te 0.000 0.000 0.098
3 Mo 0.333 0.667 0.049
4 W 0.000 0.000 0.237
5 W 0.000 0.000 0.861
6 W 0.333 0.667 0.425
7 Se 0.000 0.000 0.381
8 Se 0.000 0.000 0.468
9 Se 0.333 0.667 0.194
10 Se 0.333 0.667 0.280
11 Se 0.333 0.667 0.818
12 Se 0.333 0.667 0.904

Calculated values
Volume (Å³/cell): 380.9

=====

Entry B
Compound: Te2MoW3Se6
Source: the Materials Project database
Functional: PBE
Structure: relaxed

Cell lengths 3.382, 3.382, 38.486 Å; angles 90.00, 90.00, 120.00 degrees
Positions (direct):
1 Te 0.000 0.000 0.000
2 Te 0.000 0.000 0.098
3 Mo 0.333 0.667 0.673
4 W 0.000 0.000 0.486
5 W 0.000 0.000 0.861
6 W 0.333 0.667 0.049
7 Se 0.000 0.000 0.630
8 Se 0.000 0.000 0.716
9 Se 0.333 0.667 0.442
10 Se 0.333 0.667 0.529
11 Se 0.333 0.667 0.818
12 Se 0.333 0.667 0.904

Calculated values
Volume (Å³/cell): 381.1

=====

Quick look at relative energies in kJ/mol of atoms: entry A 0.0; entry B 2.0.

=====

Entry A
Compound: LiSn2P3O12
Source: the Materials Project database
Functional: PBE
Structure: relaxed

Cell lengths 8.874, 8.766, 12.224 Å; angles 90.00, 90.00, 90.00 degrees
Positions (direct):
1 Li 0.229 0.034 0.000
2 Li 0.271 0.534 0.500
3 Li 0.729 0.466 0.000
4 Li 0.771 0.966 0.500
5 Sn 0.035 0.998 0.205
6 Sn 0.052 0.504 0.943
7 Sn 0.448 0.004 0.443
8 Sn 0.465 0.498 0.705
9 Sn 0.535 0.502 0.205
10 Sn 0.552 0.996 0.943
11 Sn 0.948 0.496 0.443
12 Sn 0.965 0.002 0.705
13 P 0.103 0.358 0.675
14 P 0.103 0.851 0.470
15 P 0.246 0.294 0.322
16 P 0.254 0.794 0.822
17 P 0.397 0.351 0.970
18 P 0.397 0.858 0.175
19 P 0.603 0.142 0.675
20 P 0.603 0.649 0.470
21 P 0.746 0.206 0.322
22 P 0.754 0.706 0.822
23 P 0.897 0.149 0.970
24 P 0.897 0.642 0.175
25 O 0.018 0.565 0.103
26 O 0.021 0.075 0.043
27 O 0.067 0.896 0.352
28 O 0.078 0.399 0.796
29 O 0.097 0.675 0.483
30 O 0.099 0.183 0.660
31 O 0.145 0.196 0.249
32 O 0.155 0.403 0.399
33 O 0.156 0.701 0.902
34 O 0.158 0.894 0.747
35 O 0.238 0.400 0.006
36 O 0.238 0.917 0.138
37 O 0.262 0.417 0.638
38 O 0.262 0.900 0.506
39 O 0.342 0.394 0.247
40 O 0.344 0.201 0.402
41 O 0.345 0.903 0.899
42 O 0.355 0.696 0.749
43 O 0.401 0.683 0.160
44 O 0.403 0.175 0.983
45 O 0.422 0.899 0.296
46 O 0.433 0.396 0.852
47 O 0.479 0.575 0.543
48 O 0.482 0.065 0.603
49 O 0.518 0.935 0.103
50 O 0.521 0.425 0.043
51 O 0.567 0.604 0.352
52 O 0.578 0.101 0.796
53 O 0.597 0.825 0.483
54 O 0.599 0.317 0.660
55 O 0.645 0.304 0.249
56 O 0.655 0.097 0.399
57 O 0.656 0.799 0.902
58 O 0.658 0.606 0.747
59 O 0.738 0.100 0.006
60 O 0.738 0.583 0.138
61 O 0.762 0.083 0.638
62 O 0.762 0.600 0.506
63 O 0.842 0.106 0.247
64 O 0.844 0.299 0.402
65 O 0.845 0.597 0.899
66 O 0.855 0.804 0.749
67 O 0.901 0.817 0.160
68 O 0.903 0.325 0.983
69 O 0.922 0.601 0.296
70 O 0.933 0.104 0.852
71 O 0.979 0.925 0.543
72 O 0.982 0.435 0.603

Calculated values
Volume (Å³/cell): 951.0

=====

Entry B
Compound: LiSn2P3O12
Source: the Materials Project database
Functional: PBE
Structure: relaxed

Cell lengths 8.853, 8.853, 8.853 Å; angles 59.32, 59.32, 59.32 degrees
Positions (direct):
1 Li 0.000 0.000 0.000
2 Li 0.500 0.500 0.500
3 Sn 0.143 0.143 0.143
4 Sn 0.357 0.357 0.357
5 Sn 0.643 0.643 0.643
6 Sn 0.857 0.857 0.857
7 P 0.044 0.750 0.456
8 P 0.250 0.544 0.956
9 P 0.456 0.044 0.750
10 P 0.544 0.956 0.250
11 P 0.750 0.456 0.044
12 P 0.956 0.250 0.544
13 O 0.010 0.804 0.613
14 O 0.060 0.914 0.267
15 O 0.086 0.733 0.940
16 O 0.113 0.304 0.510
17 O 0.196 0.387 0.990
18 O 0.233 0.586 0.440
19 O 0.267 0.060 0.914
20 O 0.304 0.510 0.113
21 O 0.387 0.990 0.196
22 O 0.414 0.560 0.767
23 O 0.440 0.233 0.586
24 O 0.490 0.887 0.696
25 O 0.510 0.113 0.304
26 O 0.560 0.767 0.414
27 O 0.586 0.440 0.233
28 O 0.613 0.010 0.804
29 O 0.696 0.490 0.887
30 O 0.733 0.940 0.086
31 O 0.767 0.414 0.560
32 O 0.804 0.613 0.010
33 O 0.887 0.696 0.490
34 O 0.914 0.267 0.060
35 O 0.940 0.086 0.733
36 O 0.990 0.196 0.387

Calculated values
Volume (Å³/cell): 483.1

=====

Quick look at relative energies in kJ/mol of atoms: entry A 0.6; entry B 0.0.

=====

Entry A
Compound: Mg7Si4
Source: the Materials Project database
Functional: PBE
Structure: relaxed

Cell lengths 5.144, 6.045, 14.591 Å; angles 101.86, 90.64, 99.50 degrees
Positions (direct):
1 Mg 0.000 0.000 0.000
2 Mg 0.007 0.508 0.963
3 Mg 0.207 0.269 0.656
4 Mg 0.264 0.733 0.431
5 Mg 0.299 0.232 0.452
6 Mg 0.470 0.243 0.889
7 Mg 0.482 0.363 0.092
8 Mg 0.517 0.856 0.113
9 Mg 0.542 0.744 0.899
10 Mg 0.658 0.032 0.713
11 Mg 0.755 0.494 0.550
12 Mg 0.767 0.906 0.310
13 Mg 0.776 0.998 0.519
14 Mg 0.808 0.403 0.332
15 Si 0.083 0.930 0.825
16 Si 0.133 0.593 0.761
17 Si 0.258 0.833 0.603
18 Si 0.317 0.142 0.275
19 Si 0.328 0.562 0.276
20 Si 0.641 0.533 0.732
21 Si 0.961 0.205 0.147
22 Si 0.971 0.616 0.146

Calculated values
Volume (Å³/cell): 437.5

=====

Entry B
Compound: Mg7Si4
Source: the Materials Project database
Functional: PBE
Structure: relaxed

Cell lengths 4.886, 6.041, 15.020 Å; angles 79.35, 85.99, 87.44 degrees
Positions (direct):
1 Mg 0.000 0.000 0.000
2 Mg 0.007 0.504 0.994
3 Mg 0.183 0.506 0.664
4 Mg 0.281 0.678 0.452
5 Mg 0.293 0.180 0.451
6 Mg 0.465 0.167 0.095
7 Mg 0.503 0.657 0.121
8 Mg 0.518 0.339 0.885
9 Mg 0.541 0.820 0.905
10 Mg 0.661 0.139 0.719
11 Mg 0.743 0.867 0.563
12 Mg 0.770 0.384 0.530
13 Mg 0.783 0.523 0.321
14 Mg 0.825 0.013 0.353
15 Si 0.087 0.698 0.812
16 Si 0.124 0.100 0.813
17 Si 0.192 0.032 0.641
18 Si 0.349 0.285 0.266
19 Si 0.361 0.877 0.274
20 Si 0.645 0.664 0.739
21 Si 0.929 0.309 0.171
22 Si 0.936 0.895 0.182

Calculated values
Volume (Å³/cell): 434.5

=====

Quick look at relative energies in kJ/mol of atoms: entry A 18.4; entry B 0.0.